The following is a PBE+U calculation of NdMgCuW2O8 after structural relaxation, from the Materials Project database.

Values from the calculation:
Size of the total moment, μB/cell: 2.00
Space-group type: No. 2
Relative energy among the computed polymorphs, eV/f.u.: 1.438
Crystal system: triclinic

POSCAR file:
```
NdMgCuW2O8
1.0
5.320 0.000 0.000
-2.346 5.531 0.000
-0.297 -1.857 6.238
Nd Mg Cu W O
1 1 1 2 8
direct
0.000 0.000 0.000
0.000 0.000 0.500
0.500 0.000 0.500
0.278 0.534 0.661
0.722 0.466 0.339
0.012 0.711 0.647
0.032 0.254 0.770
0.458 0.294 0.543
0.492 0.242 0.098
0.508 0.758 0.902
0.542 0.706 0.457
0.968 0.746 0.230
0.988 0.289 0.353
```

=====

The following is a PBE+U calculation of Fe2O3 after structural relaxation, from the Materials Project database.

Values from the calculation:
Size of the total moment, μB/cell: 158.00
Space-group type: No. 1
Crystal system: triclinic

POSCAR file:
```
Fe2O3
1.0
9.525 0.000 0.000
0.428 9.683 0.000
0.130 0.152 10.650
Fe O
32 48
direct
0.000 0.000 0.000
0.000 0.467 0.185
0.021 0.472 0.855
0.057 0.132 0.709
0.058 0.742 0.693
0.070 0.654 0.381
0.073 0.128 0.254
0.192 0.954 0.453
0.236 0.426 0.581
0.275 0.563 0.055
0.278 0.260 0.052
0.286 0.417 0.312
0.311 0.944 0.113
0.354 0.626 0.762
0.387 0.915 0.801
0.410 0.199 0.731
0.416 0.747 0.373
0.519 0.015 0.295
0.519 0.745 0.026
0.538 0.476 0.494
0.571 0.894 0.566
0.575 0.392 0.928
0.577 0.120 0.031
0.586 0.454 0.208
0.617 0.213 0.471
0.712 0.674 0.745
0.749 0.033 0.765
0.767 0.351 0.689
0.798 0.656 0.452
0.822 0.673 0.002
0.836 0.920 0.212
0.881 0.983 0.507
0.027 0.101 0.426
0.063 0.939 0.607
0.137 0.307 0.211
0.139 0.469 0.434
0.154 0.588 0.210
0.161 0.546 0.726
0.177 0.082 0.031
0.179 0.421 0.968
0.192 0.966 0.266
0.225 0.755 0.442
0.226 0.249 0.652
0.233 0.791 0.781
0.257 0.064 0.777
0.306 0.756 0.043
0.383 0.413 0.143
0.387 0.324 0.450
0.396 0.537 0.609
0.404 0.956 0.454
0.412 0.126 0.164
0.425 0.255 0.910
0.443 0.555 0.333
0.443 0.563 0.922
0.461 0.840 0.219
0.464 0.949 0.968
0.504 0.761 0.713
0.528 0.030 0.704
0.571 0.300 0.641
0.602 0.734 0.452
0.637 0.315 0.085
0.651 0.619 0.115
0.658 0.374 0.365
0.663 0.000 0.163
0.672 0.022 0.432
0.678 0.770 0.906
0.689 0.163 0.884
0.707 0.479 0.823
0.723 0.530 0.586
0.763 0.866 0.647
0.830 0.145 0.625
0.893 0.566 0.311
0.895 0.840 0.369
0.920 0.087 0.150
0.920 0.663 0.815
0.921 0.498 0.025
0.924 0.827 0.069
0.948 0.021 0.833
0.962 0.323 0.754
0.970 0.670 0.546
```

=====

The following is a PBE+U calculation of Li2MnF4 after structural relaxation, from the Materials Project database.

Values from the calculation:
Size of the total moment, μB/cell: 10.00
Space-group type: No. 1
Relative energy among the computed polymorphs, eV/f.u.: 0.078
Crystal system: triclinic

POSCAR file:
```
Li2MnF4
1.0
3.240 0.000 0.000
0.011 5.221 0.000
0.029 1.223 9.726
Li Mn F
4 2 8
direct
0.000 0.000 0.000
0.000 0.031 0.652
0.922 0.527 0.150
0.923 0.500 0.500
0.433 0.014 0.325
0.489 0.515 0.825
0.422 0.375 0.214
0.423 0.670 0.453
0.500 0.171 0.953
0.501 0.876 0.714
0.933 0.145 0.454
0.933 0.884 0.198
0.987 0.645 0.953
0.990 0.385 0.699
```

=====

The following is a PBE+U calculation of V2H3O5 after structural relaxation, from the Materials Project database.

Values from the calculation:
Space-group type: No. 8
Crystal system: monoclinic

POSCAR file:
```
V2H3O5
1.0
6.133 -1.545 0.000
6.133 1.545 0.000
-0.740 0.000 4.823
V H O
2 3 5
direct
0.000 0.000 0.000
0.724 0.724 0.207
0.197 0.197 0.748
0.339 0.339 0.574
0.513 0.513 0.550
0.169 0.169 0.932
0.260 0.260 0.481
0.474 0.474 0.719
0.563 0.563 0.241
0.870 0.870 0.089
```

=====

The following is a PBE+U calculation of MgCo4Cu2O8 after structural relaxation, from the Materials Project database.

Values from the calculation:
Size of the total moment, μB/cell: 0.00
Space-group type: No. 1
Relative energy among the computed polymorphs, eV/f.u.: 0.000
Crystal system: triclinic

POSCAR file:
```
MgCo4Cu2O8
1.0
5.755 0.000 0.000
-2.850 5.000 0.000
-0.146 -3.242 5.162
Mg Co Cu O
1 4 2 8
direct
0.000 0.000 0.000
0.007 0.508 0.995
0.513 0.011 0.004
0.513 0.513 0.999
0.531 0.031 0.500
0.237 0.454 0.486
0.966 0.750 0.514
0.259 0.498 0.203
0.269 0.979 0.220
0.281 0.560 0.820
0.296 0.055 0.794
0.729 0.972 0.213
0.739 0.460 0.179
0.760 0.050 0.779
0.760 0.517 0.786
```

=====

The following is a PBE+U calculation of VCuO3 after structural relaxation, from the Materials Project database.

Values from the calculation:
Size of the total moment, μB/cell: 0.00
Space-group type: No. 1
Crystal system: triclinic
Piezoelectric modulus e_max, C/m²: 1.13

POSCAR file:
```
VCuO3
1.0
3.222 0.000 0.000
0.078 5.010 0.000
1.463 1.971 4.958
V Cu O
1 1 3
direct
0.000 0.000 0.000
0.368 0.388 0.305
0.151 0.133 0.661
0.451 0.807 0.119
0.945 0.281 0.109
```

=====

| no. | final energy (eV per atom) | energy of formation (eV/atom) |
| --- | --- | --- |
| 1 | -7.025 | -2.29 |
| 2 | -6.460 | -1.42 |
| 3 | -5.493 | -3.05 |
| 4 | -6.588 | -1.96 |
| 5 | -5.628 | -1.24 |
| 6 | -6.637 | -1.78 |